[1]
The following is a DFT calculation (r²SCAN) of a relaxed structure of HoB4.

Lattice parameters (Å, degrees): 4.001 7.075 7.075 90.00 90.00 90.00
Fractional coordinates of all 20 atoms:
1 B 0.500 0.038 0.824
2 B 0.797 0.000 0.000
3 B 0.500 0.824 0.962
4 B 0.500 0.087 0.587
5 B 0.500 0.176 0.038
6 B 0.500 0.538 0.676
7 B 0.500 0.587 0.913
8 B 0.203 0.000 0.000
9 B 0.500 0.324 0.538
10 B 0.500 0.913 0.413
11 B 0.203 0.500 0.500
12 B 0.500 0.962 0.176
13 B 0.797 0.500 0.500
14 B 0.500 0.413 0.087
15 B 0.500 0.462 0.324
16 B 0.500 0.676 0.462
17 Ho 0.000 0.818 0.682
18 Ho 0.000 0.182 0.318
19 Ho 0.000 0.318 0.818
20 Ho 0.000 0.682 0.182

Total magnetic moment ... 0.00 Bohr magnetons per cell
Energy of formation ... -0.661 eV/atom

=====

[2]
The following is a DFT calculation (r²SCAN) of a relaxed structure of Ba3LiTi3O8.

Lattice parameters (Å, degrees): 5.825 5.912 7.716 76.71 92.54 120.14
Fractional coordinates of all 15 atoms:
1 O 0.535 0.616 0.027
2 O 0.558 0.113 0.012
3 O 0.816 0.076 0.689
4 O 0.778 0.550 0.668
5 O 0.688 0.855 0.344
6 O 0.063 0.647 0.042
7 O 0.294 0.055 0.651
8 O 0.177 0.366 0.341
9 Ti 0.355 0.708 0.160
10 Ti 0.969 0.963 0.498
11 Ti 0.599 0.183 0.765
12 Ba 0.673 0.350 0.313
13 Ba 0.055 0.111 0.053
14 Ba 0.293 0.592 0.621
15 Li 0.804 0.639 0.890

Total magnetic moment ... 1.01 Bohr magnetons per cell
Energy of formation ... -2.907 eV/atom
E above lowest polymorph ... 0.00 eV/f.u.

=====

Q: total magnetic moment of number 2 (Ba3LiTi3O8)?
A: 1.01 Bohr magnetons per cell

=====

Q: Among the records above, which one has the lowest total magnetic moment?
A: HoB4

=====

Q: Which of these has the lowest energy of formation?
A: Ba3LiTi3O8